[1]
Ba4Zn4B14Pb2O31: optimized geometry, PBE-GGA.

## Properties
M_tot	0.0001	μB/atom

Lattice parameters (Å, degrees): 7.1850 7.1850 47.8286 90.00 90.00 120.00
Closest atoms and distances in Å follow each position.
Space group P3_2 (No. 145)
Unique sites:
1 Ba 0.0643 0.4796 0.0000 (multiplicity 3)  9 O 2.77-3.07
2 Ba 0.0846 0.1796 0.3875 (multiplicity 3)  9 O 2.82-3.08, 1 B 3.13
3 Ba 0.0924 0.5024 0.5308 (multiplicity 3)  9 O 2.79-3.09
4 Ba 0.5192 0.2626 0.5842 (multiplicity 3)  9 O 2.76-3.02
5 Zn 0.0775 0.2659 0.3090 (multiplicity 3)  4 O 1.97-2.02
6 Zn 0.1479 0.5690 0.0732 (multiplicity 3)  4 O 1.95-2.05
7 Zn 0.1891 0.5975 0.6086 (multiplicity 3)  4 O 1.97-2.01
8 Zn 0.4441 0.1749 0.5107 (multiplicity 3)  4 O 1.97-2.00
9 B 0.0001 0.7188 0.1962 (multiplicity 3)  3 O 1.36-1.41
10 B 0.0035 0.8873 0.5272 (multiplicity 3)  4 O 1.46-1.52
11 B 0.0133 0.3967 0.8607 (multiplicity 3)  3 O 1.36-1.42
12 B 0.0433 0.8903 0.5817 (multiplicity 3)  4 O 1.45-1.52
13 B 0.0450 0.4839 0.6685 (multiplicity 3)  4 O 1.45-1.52
14 B 0.1147 0.3431 0.9276 (multiplicity 3)  3 O 1.36-1.41
15 B 0.1725 0.0839 0.9945 (multiplicity 3)  3 O 1.36-1.42
16 B 0.2423 0.0849 0.9233 (multiplicity 3)  3 O 1.36-1.42
17 B 0.2924 0.0143 0.7906 (multiplicity 3)  3 O 1.38-1.40
18 B 0.3273 0.2865 0.0551 (multiplicity 3)  3 O 1.36-1.41
19 B 0.4406 0.0005 0.0565 (multiplicity 3)  4 O 1.47-1.52
20 B 0.5473 0.4254 0.7901 (multiplicity 3)  3 O 1.36-1.40
21 B 0.5565 0.3417 0.9894 (multiplicity 3)  3 O 1.36-1.41
22 B 0.5998 0.3106 0.7226 (multiplicity 3)  3 O 1.36-1.42
23 Pb 0.0453 0.8180 0.4605 (multiplicity 3)  2 O 2.24-2.31
24 Pb 0.0928 0.5612 0.7930 (multiplicity 3)  3 O 2.28-2.49
25 O 0.0135 0.7144 0.2597 (multiplicity 3)  2 B 1.41-1.42
26 O 0.0350 0.9224 0.9212 (multiplicity 3)  2 B 1.36-1.52
27 O 0.0630 0.4583 0.1134 (multiplicity 3)  1 B 1.39
28 O 0.0639 0.4701 0.4713 (multiplicity 3)  1 B 1.38
29 O 0.0765 0.2343 0.1710 (multiplicity 3)  1 B 1.48
30 O 0.0787 0.2966 0.6619 (multiplicity 3)  2 B 1.36-1.52
31 O 0.0826 0.0318 0.3297 (multiplicity 3)  1 B 1.37
32 O 0.0853 0.8705 0.7813 (multiplicity 3)  1 B 1.39
33 O 0.1108 0.5535 0.6976 (multiplicity 3)  2 B 1.47
34 O 0.1123 0.8858 0.5529 (multiplicity 3)  2 B 1.46-1.47
35 O 0.1190 0.0702 0.8603 (multiplicity 3)  2 B 1.38-1.50
36 O 0.1331 0.3206 0.2675 (multiplicity 3)  1 B 1.45
37 O 0.1411 0.5343 0.9367 (multiplicity 3)  1 B 1.36
38 O 0.1508 0.5520 0.7463 (multiplicity 3)  1 B 1.47
39 O 0.1651 0.3321 0.0546 (multiplicity 3)  1 B 1.36
40 O 0.1913 0.6540 0.6498 (multiplicity 3)  1 B 1.45
41 O 0.2168 0.7702 0.1964 (multiplicity 3)  2 B 1.41-1.42
42 O 0.2755 0.0884 0.2528 (multiplicity 3)  2 B 1.38-1.49
43 O 0.2786 0.0746 0.0560 (multiplicity 3)  2 B 1.38-1.50
44 O 0.3343 0.1447 0.1888 (multiplicity 3)  2 B 1.37-1.52
45 O 0.3426 0.2992 0.9919 (multiplicity 3)  2 B 1.41-1.42
46 O 0.3634 0.2294 0.7836 (multiplicity 3)  2 B 1.40
47 O 0.4146 0.0532 0.9220 (multiplicity 3)  1 B 1.37
48 O 0.4331 0.3460 0.7181 (multiplicity 3)  1 B 1.36
49 O 0.4334 0.4133 0.5300 (multiplicity 3)  1 B 1.36
50 O 0.4678 0.1878 0.6466 (multiplicity 3)  1 B 1.36
51 O 0.4890 0.3288 0.8654 (multiplicity 3)  1 B 1.36
52 O 0.5316 0.3382 0.3947 (multiplicity 3)  2 B 1.37-1.52
53 O 0.5439 0.4513 0.0549 (multiplicity 3)  2 B 1.41-1.42
54 O 0.5609 0.2741 0.4722 (multiplicity 3)  1 B 1.36
55 O 0.5803 0.3956 0.3300 (multiplicity 3)  2 B 1.38-1.49

[2]
SnH8C4I4: optimized geometry, PBE-GGA.

## Properties
M_tot	0.0000	μB/atom

Lattice parameters (Å, degrees): 9.6827 9.6827 7.6390 90.00 90.00 90.00
Closest atoms and distances in Å follow each position.
Space group P-42_1c (No. 114)
Unique sites:
1 Sn 0.0000 0.0000 0.0000 (multiplicity 2)  4 C 2.17
2 H 0.0352 0.1913 0.2629 (multiplicity 8)  1 C 1.10
3 H 0.1526 0.2307 0.0863 (multiplicity 8)  1 C 1.09
4 C 0.1063 0.1486 0.1652 (multiplicity 8)  2 H 1.09-1.10
5 I 0.0587 0.7253 0.6885 (multiplicity 8)  1 C 2.16

[3]
NaMgCu2O3: optimized geometry, PBE-GGA.

## Properties
distance to the lowest polymorph of the same formula	300.5	meV per atom
M_tot	0.0000	μB/atom

Lattice parameters (Å, degrees): 3.9822 11.9452 5.2140 90.00 90.00 90.00
Closest atoms and distances in Å follow each position.
Space group Cmmm (No. 65)
Unique sites:
1 Na 0.0000 0.0000 0.0000 (multiplicity 2)  2 Mg 2.61
2 Mg 0.0000 0.0000 0.5000 (multiplicity 2)  4 O 1.93-1.99
3 Cu 0.0000 0.3302 0.5000 (multiplicity 4)  4 O 1.99-2.03
4 O 0.0000 0.1619 0.5000 (multiplicity 4)  1 Mg 1.93, 3 Cu 1.99-2.01
5 O 0.0000 0.5000 0.5000 (multiplicity 2)  2 Mg 1.99, 2 Cu 2.03

[4]
GdI3O9: optimized geometry, PBE-GGA.

## Properties
distance to the lowest polymorph of the same formula	0.0	meV per atom

Lattice parameters (Å, degrees): 8.8585 6.0787 16.8149 90.00 114.71 90.00
Closest atoms and distances in Å follow each position.
Space group P2_1/c (No. 14)
Unique sites:
1 Gd 0.1443 0.2205 0.1024 (multiplicity 4)  7 O 2.35-2.45
2 I 0.0706 0.1869 0.3548 (multiplicity 4)  3 O 1.83-1.85
3 I 0.3574 0.6416 0.5212 (multiplicity 4)  3 O 1.84-1.87
4 I 0.4180 0.5920 0.8019 (multiplicity 4)  3 O 1.84-1.85
5 O 0.0609 0.0551 0.6942 (multiplicity 4)  1 I 1.84
6 O 0.0973 0.6070 0.6707 (multiplicity 4)  1 I 1.85
7 O 0.1045 0.1109 0.4663 (multiplicity 4)  1 I 1.83
8 O 0.1294 0.6109 0.4870 (multiplicity 4)  1 I 1.86
9 O 0.3366 0.5849 0.8861 (multiplicity 4)  1 I 1.84
10 O 0.3447 0.1813 0.2552 (multiplicity 4)  1 I 1.84
11 O 0.3573 0.0798 0.9438 (multiplicity 4)  1 I 1.87
12 O 0.3648 0.0054 0.6324 (multiplicity 4)  1 I 1.85
13 O 0.3958 0.0292 0.1183 (multiplicity 4)  1 I 1.84

[5]
CrIr3: optimized geometry, PBE-GGA.

Lattice parameters (Å, degrees): 3.8254 3.8254 3.8254 90.00 90.00 90.00
Closest atoms and distances in Å follow each position.
Space group Pm-3m (No. 221)
Unique sites:
1 Cr 0.0000 0.0000 0.0000 (multiplicity 1)  12 Ir 2.70
2 Ir 0.0000 0.5000 0.5000 (multiplicity 3)  4 Cr 2.70, 8 Ir 2.70

[6]
Si: optimized geometry, PBE-GGA.

## Properties
distance to the lowest polymorph of the same formula	316.8	meV per atom
M_tot	0.0000	μB/atom

Lattice parameters (Å, degrees): 11.6929 12.6742 13.4187 97.64 97.44 99.40
Closest atoms and distances in Å follow each position.
Space group P1 (No. 1)
Unique sites:
1 Si 0.0000 0.0000 0.0000 (multiplicity 1)  4 Si 2.35-2.40
2 Si 0.0004 0.1570 0.9220 (multiplicity 1)  4 Si 2.35-2.41
3 Si 0.0016 0.9657 0.4881 (multiplicity 1)  4 Si 2.40-2.47
4 Si 0.0026 0.4147 0.8439 (multiplicity 1)  3 Si 2.36-2.46
5 Si 0.0135 0.6852 0.6988 (multiplicity 1)  4 Si 2.37-2.44
6 Si 0.0241 0.6064 0.3425 (multiplicity 1)  3 Si 2.37-2.50
7 Si 0.0315 0.3885 0.2870 (multiplicity 1)  4 Si 2.37-2.45
8 Si 0.0382 0.7440 0.0897 (multiplicity 1)  4 Si 2.39-2.42
9 Si 0.0450 0.4408 0.0311 (multiplicity 1)  5 Si 2.38-2.54
10 Si 0.0488 0.3391 0.5589 (multiplicity 1)  4 Si 2.32-2.40
11 Si 0.0589 0.9848 0.6746 (multiplicity 1)  4 Si 2.35-2.47
12 Si 0.0651 0.1599 0.7614 (multiplicity 1)  4 Si 2.35-2.38
13 Si 0.0862 0.7646 0.2725 (multiplicity 1)  5 Si 2.37-2.50
14 Si 0.1027 0.2269 0.2237 (multiplicity 1)  4 Si 2.40-2.44
15 Si 0.1184 0.2775 0.0585 (multiplicity 1)  4 Si 2.35-2.42
16 Si 0.1254 0.5182 0.6489 (multiplicity 1)  3 Si 2.40-2.46
17 Si 0.1393 0.6172 0.0015 (multiplicity 1)  4 Si 2.42-2.60
18 Si 0.1430 0.9425 0.3753 (multiplicity 1)  4 Si 2.37-2.42
19 Si 0.1527 0.9073 0.0601 (multiplicity 1)  4 Si 2.39-2.43
20 Si 0.1958 0.4428 0.7950 (multiplicity 1)  4 Si 2.33-2.42
21 Si 0.2058 0.5322 0.3170 (multiplicity 1)  4 Si 2.39-2.50
22 Si 0.2160 0.7672 0.7447 (multiplicity 1)  4 Si 2.38-2.42
23 Si 0.2347 0.9606 0.7686 (multiplicity 1)  4 Si 2.32-2.49
24 Si 0.2373 0.2712 0.7355 (multiplicity 1)  4 Si 2.29-2.36
25 Si 0.2366 0.6683 0.5825 (multiplicity 1)  4 Si 2.40-2.52
26 Si 0.2375 0.5305 0.1430 (multiplicity 1)  5 Si 2.39-2.56
27 Si 0.2420 0.9737 0.2326 (multiplicity 1)  4 Si 2.34-2.42
28 Si 0.2449 0.3153 0.5727 (multiplicity 1)  4 Si 2.34-2.44
29 Si 0.3016 0.2594 0.3093 (multiplicity 1)  4 Si 2.34-2.43
30 Si 0.3030 0.8110 0.2780 (multiplicity 1)  5 Si 2.39-2.56
31 Si 0.3122 0.2574 0.0424 (multiplicity 1)  4 Si 2.35-2.51
32 Si 0.3184 0.0219 0.4883 (multiplicity 1)  4 Si 2.35-2.38
33 Si 0.3203 0.7207 0.4285 (multiplicity 1)  5 Si 2.42-2.69
34 Si 0.3204 0.8345 0.0114 (multiplicity 1)  4 Si 2.34-2.43
35 Si 0.3319 0.1132 0.9055 (multiplicity 1)  4 Si 2.34-2.49
36 Si 0.3321 0.7072 0.1239 (multiplicity 1)  5 Si 2.36-2.60
37 Si 0.3438 0.2083 0.4696 (multiplicity 1)  4 Si 2.34-2.41
38 Si 0.3607 0.5463 0.9018 (multiplicity 1)  4 Si 2.33-2.47
39 Si 0.3605 0.7260 0.8675 (multiplicity 1)  4 Si 2.36-2.45
40 Si 0.3644 0.9779 0.6525 (multiplicity 1)  4 Si 2.32-2.37
41 Si 0.3655 0.4465 0.3701 (multiplicity 1)  4 Si 2.36-2.41
42 Si 0.3725 0.4497 0.0496 (multiplicity 1)  4 Si 2.41-2.47
43 Si 0.3727 0.4759 0.6737 (multiplicity 1)  4 Si 2.40-2.61
44 Si 0.4131 0.2328 0.8039 (multiplicity 1)  4 Si 2.29-2.34
45 Si 0.4276 0.0699 0.2226 (multiplicity 1)  4 Si 2.32-2.34
46 Si 0.4411 0.6720 0.6385 (multiplicity 1)  5 Si 2.40-2.61
47 Si 0.4504 0.2499 0.1999 (multiplicity 1)  5 Si 2.32-2.52
48 Si 0.4503 0.8420 0.5668 (multiplicity 1)  4 Si 2.37-2.47
49 Si 0.4847 0.9627 0.0909 (multiplicity 1)  4 Si 2.32-2.34
50 Si 0.4905 0.5263 0.5287 (multiplicity 1)  5 Si 2.40-2.61
51 Si 0.5084 0.9870 0.4771 (multiplicity 1)  4 Si 2.31-2.38
52 Si 0.5148 0.0876 0.9813 (multiplicity 1)  4 Si 2.32-2.38
53 Si 0.5193 0.1174 0.7232 (multiplicity 1)  4 Si 2.30-2.35
54 Si 0.5187 0.7049 0.3986 (multiplicity 1)  4 Si 2.35-2.44
55 Si 0.5232 0.8217 0.2765 (multiplicity 1)  5 Si 2.35-2.56
56 Si 0.5282 0.5344 0.3072 (multiplicity 1)  4 Si 2.36-2.44
57 Si 0.5403 0.7099 0.1241 (multiplicity 1)  4 Si 2.35-2.43
58 Si 0.5499 0.2852 0.5109 (multiplicity 1)  4 Si 2.34-2.46
59 Si 0.5544 0.7362 0.8147 (multiplicity 1)  5 Si 2.37-2.53
60 Si 0.5569 0.4188 0.6631 (multiplicity 1)  4 Si 2.40-2.52
61 Si 0.5634 0.3467 0.9149 (multiplicity 1)  4 Si 2.31-2.42
62 Si 0.5666 0.5329 0.9449 (multiplicity 1)  4 Si 2.33-2.54
63 Si 0.5714 0.5329 0.1338 (multiplicity 1)  5 Si 2.35-2.54
64 Si 0.5773 0.0169 0.3274 (multiplicity 1)  4 Si 2.31-2.43
65 Si 0.5822 0.2681 0.0662 (multiplicity 1)  4 Si 2.33-2.52
66 Si 0.6121 0.1430 0.5847 (multiplicity 1)  4 Si 2.30-2.34
67 Si 0.6173 0.2930 0.3450 (multiplicity 1)  4 Si 2.37-2.51
68 Si 0.6373 0.0671 0.8578 (multiplicity 1)  4 Si 2.34-2.39
69 Si 0.6523 0.7732 0.9986 (multiplicity 1)  4 Si 2.40-2.53
70 Si 0.6689 0.5956 0.7505 (multiplicity 1)  4 Si 2.38-2.53
71 Si 0.6824 0.9470 0.1046 (multiplicity 1)  4 Si 2.34-2.41
72 Si 0.6847 0.8976 0.8061 (multiplicity 1)  4 Si 2.34-2.41
73 Si 0.6971 0.6014 0.5771 (multiplicity 1)  4 Si 2.40-2.44
74 Si 0.7016 0.7689 0.5094 (multiplicity 1)  4 Si 2.35-2.41
75 Si 0.7076 0.4754 0.3481 (multiplicity 1)  4 Si 2.33-2.37
76 Si 0.7285 0.9075 0.3395 (multiplicity 1)  4 Si 2.34-2.46
77 Si 0.7441 0.3542 0.8437 (multiplicity 1)  4 Si 2.41-2.49
78 Si 0.7542 0.9088 0.6492 (multiplicity 1)  4 Si 2.35-2.45
79 Si 0.7723 0.5530 0.9000 (multiplicity 1)  5 Si 2.36-2.54
80 Si 0.7786 0.1879 0.3446 (multiplicity 1)  4 Si 2.40-2.48
81 Si 0.7821 0.2628 0.0805 (multiplicity 1)  4 Si 2.31-2.36
82 Si 0.7844 0.5453 0.2099 (multiplicity 1)  4 Si 2.37-2.54
83 Si 0.7933 0.0927 0.6086 (multiplicity 1)  4 Si 2.31-2.45
84 Si 0.7973 0.1225 0.1721 (multiplicity 1)  4 Si 2.31-2.40
85 Si 0.7972 0.3842 0.6748 (multiplicity 1)  3 Si 2.41-2.49
86 Si 0.8083 0.2041 0.9137 (multiplicity 1)  4 Si 2.34-2.41
87 Si 0.8325 0.4983 0.5027 (multiplicity 1)  4 Si 2.33-2.46
88 Si 0.8409 0.8911 0.2051 (multiplicity 1)  4 Si 2.37-2.47
89 Si 0.8427 0.0590 0.4472 (multiplicity 1)  4 Si 2.32-2.42
90 Si 0.8441 0.7280 0.9938 (multiplicity 1)  4 Si 2.36-2.42
91 Si 0.8682 0.8630 0.8862 (multiplicity 1)  4 Si 2.35-2.41
92 Si 0.8733 0.7305 0.2739 (multiplicity 1)  4 Si 2.37-2.46
93 Si 0.8868 0.7837 0.4520 (multiplicity 1)  4 Si 2.37-2.43
94 Si 0.9084 0.4287 0.1477 (multiplicity 1)  4 Si 2.36-2.38
95 Si 0.9111 0.5479 0.7755 (multiplicity 1)  4 Si 2.36-2.48
96 Si 0.9178 0.3523 0.4175 (multiplicity 1)  4 Si 2.32-2.46
97 Si 0.9248 0.8470 0.7207 (multiplicity 1)  4 Si 2.35-2.44
98 Si 0.9374 0.2569 0.6761 (multiplicity 1)  4 Si 2.36-2.48
99 Si 0.9697 0.0525 0.1711 (multiplicity 1)  4 Si 2.33-2.47
100 Si 0.9878 0.6495 0.5139 (multiplicity 1)  4 Si 2.39-2.43

Number 1: calculated formation energy -2.750 eV/atom, final energy -7.22 eV per atom. Number 2: calculated formation energy -0.007 eV/atom, final energy -4.28 eV per atom. Number 3: calculated formation energy -1.143 eV/atom, final energy -4.56 eV per atom. Number 4: calculated formation energy -1.474 eV/atom, final energy -5.86 eV per atom. Number 5: calculated formation energy -0.241 eV/atom, final energy -9.28 eV per atom. Number 6: calculated formation energy 0.317 eV/atom, final energy -5.11 eV per atom.